Record 1
First-principles (meta-GGA r2SCAN) data for a geometry-optimized Yb3Tm structure, as listed in the Materials Project.

abc: 7.0909 7.0909 5.4771
angles: 90.00 90.00 120.00
Closest atoms and distances in Å follow each position.
Sites, in units of the cell vectors:
Yb  0.1669  0.3337  0.2500  4 Tm 3.42-3.55, 8 Yb 3.42-3.55
Yb  0.6663  0.8331  0.2500  4 Tm 3.42-3.55, 8 Yb 3.42-3.55
Yb  0.1669  0.8331  0.2500  4 Tm 3.42-3.55, 8 Yb 3.42-3.55
Yb  0.8331  0.6663  0.7500  4 Tm 3.42-3.55, 8 Yb 3.42-3.55
Yb  0.3337  0.1669  0.7500  4 Tm 3.42-3.55, 8 Yb 3.42-3.55
Yb  0.8331  0.1669  0.7500  4 Tm 3.42-3.55, 8 Yb 3.42-3.55
Tm  0.3333  0.6667  0.7500  12 Yb 3.42-3.55
Tm  0.6667  0.3333  0.2500  12 Yb 3.42-3.55

Calculated values
SG: P6_3/mmc (194)
Energy, eV per atom: -36.189

Record 2
First-principles (meta-GGA r2SCAN) data for a geometry-optimized YbTm3 structure, as listed in the Materials Project.

abc: 6.0478 6.0478 6.0478
angles: 131.97 131.97 70.28
Closest atoms and distances in Å follow each position.
Sites, in units of the cell vectors:
Yb  0.0000  0.0000  0.0000  12 Tm 3.48-3.49
Tm  0.7500  0.2500  0.5000  8 Tm 3.48-3.49, 4 Yb 3.49
Tm  0.2500  0.7500  0.5000  8 Tm 3.48-3.49, 4 Yb 3.49
Tm  0.5000  0.5000  0.0000  4 Yb 3.48, 8 Tm 3.49

Calculated values
SG: I4/mmm (139)
Energy, eV per atom: -35.420

Formation energy values (in eV per atom) by entry order: -0.01; 0.05.